Entry 1:
The following is a DFT calculation (meta-GGA r2SCAN) of a relaxed Sm2Ga9Ru3 crystal.

The structure belongs to space group Cmcm (No. 63); the cell edges are 12.803, 7.567 and 9.761 Å and the angles 90.00°, 90.00° and 90.00°. Symmetry generates all atoms from Sm at (0.162, 0.164, 0.250), Ga at (0.000, 0.136, 0.750), Ga at (0.000, 0.340, 0.060), Ga at (0.106, 0.445, 0.750), Ga at (0.163, 0.175, 0.574), Ru at (0.000, 0.000, 0.000) and Ru at (0.176, 0.500, 0.000).

As for the total energy: -17.644 eV per atom.

Entry 2:
The following is a DFT calculation (meta-GGA r2SCAN) of a relaxed UGaRu crystal.

The structure belongs to space group P-62m (No. 189); the cell edges are 6.8532, 6.8532 and 4.0500 Å and the angles 90.00°, 90.00° and 120.00°. Symmetry generates all atoms from U at (0.0000, 0.4246, 0.0000), Ga at (0.0000, 0.7645, 0.5000), Ru at (0.0000, 0.0000, 0.0000) and Ru at (0.3333, 0.6667, 0.5000).

As for the total energy: -39.415 eV per atom.

Entry 3:
The following is a DFT calculation (meta-GGA r2SCAN) of a relaxed GaSb crystal.

The structure belongs to space group F-43m (No. 216); the cell edges are 6.137, 6.137 and 6.137 Å and the angles 90.00°, 90.00° and 90.00°. Symmetry generates all atoms from Ga at (0.000, 0.000, 0.000) and Sb at (0.250, 0.250, 0.750).

The calculation puts the excess energy over the best structure of this formula in the dataset at 0 meV/atom.

Entry 4:
The following is a DFT calculation (meta-GGA r2SCAN) of a relaxed GaSb crystal.

The structure belongs to space group P6_3mc (No. 186); the cell edges are 4.3205, 4.3205 and 7.1330 Å and the angles 90.00°, 90.00° and 120.00°. Symmetry generates all atoms from Ga at (0.3333, 0.6667, 0.0000) and Sb at (0.3333, 0.6667, 0.3735).

The calculation puts the excess energy over the best structure of this formula in the dataset at 14 meV/atom.